# 1
## Sr3Pr10Al12Si18N36O18 (PBE)

Data for crystalline Sr3Pr10Al12Si18N36O18 at its relaxed geometry.

The structure in POSCAR format:
```
Sr3Pr10Al12Si18N36O18
1.0
9.560 6.763 0.000
-9.560 6.763 0.000
0.000 6.746 9.571
Si O Pr N Sr Al
18 18 10 36 3 12
Direct
0.698 0.158 0.841
0.461 0.301 0.539
0.461 0.461 0.699
0.702 0.001 0.299
0.538 0.839 0.001
0.000 0.300 0.700
0.699 0.699 0.000
0.300 0.000 0.700
0.001 0.539 0.161
0.000 0.839 0.462
0.839 0.000 0.462
0.301 0.461 0.539
0.001 0.702 0.299
0.161 0.161 0.301
0.158 0.698 0.841
0.300 0.300 0.000
0.839 0.538 0.001
0.539 0.001 0.161
0.817 0.001 0.609
0.812 0.389 0.001
0.735 0.494 0.755
0.608 0.423 0.390
0.250 0.498 0.251
0.186 0.577 0.814
0.189 0.189 0.421
0.002 0.391 0.187
0.577 0.186 0.814
0.494 0.735 0.755
0.001 0.817 0.609
0.389 0.812 0.001
0.266 0.759 0.488
0.391 0.002 0.187
0.423 0.608 0.390
0.610 0.610 0.576
0.759 0.266 0.488
0.498 0.250 0.251
0.750 0.426 0.578
0.324 0.576 0.999
0.999 0.324 0.425
0.250 0.676 0.330
0.424 0.424 0.252
0.324 0.999 0.425
0.675 0.675 0.748
0.676 0.250 0.330
0.426 0.750 0.578
0.576 0.324 0.999
0.691 0.847 0.308
0.000 0.305 0.845
0.520 0.849 0.152
0.000 0.150 0.327
0.305 0.000 0.845
0.998 0.674 0.856
0.311 0.157 0.000
0.687 0.687 0.155
0.327 0.327 0.523
0.697 0.000 0.448
0.301 0.853 0.696
0.448 0.146 0.550
0.304 0.304 0.145
0.157 0.000 0.688
0.553 0.004 0.302
0.849 0.520 0.152
0.004 0.553 0.302
0.150 0.672 0.001
0.477 0.327 0.673
0.154 0.845 0.156
0.327 0.477 0.673
0.850 0.850 0.477
0.845 0.154 0.156
0.146 0.448 0.550
0.694 0.549 0.001
0.000 0.157 0.688
0.549 0.694 0.001
0.157 0.311 0.000
0.847 0.691 0.308
0.842 0.842 0.848
0.672 0.150 0.001
0.000 0.697 0.448
0.674 0.998 0.856
0.150 0.000 0.327
0.853 0.301 0.696
0.449 0.449 0.855
0.999 0.999 0.001
0.000 0.575 0.680
0.575 0.000 0.680
0.409 0.162 0.837
0.162 0.409 0.837
0.162 0.162 0.591
0.000 0.246 0.163
0.838 0.246 0.000
0.754 0.754 0.408
0.753 0.590 0.247
0.590 0.753 0.247
0.837 0.000 0.754
0.246 0.838 0.000
0.000 0.837 0.754
0.246 0.000 0.163
```

Its formation energy is -1.97 eV/atom. The calculation puts the magnetic moment at 0.0 μB per cell. The final energy is -7.8708 eV/atom. The calculation puts the energy with MP2020 corrections at -8.00 eV/atom. Its crystal system is monoclinic. The calculation puts the calculated volume at 1237.42 Å³/cell.

***

# 2
## AlS2NO8 (PBE)

Data for crystalline AlS2NO8 at its relaxed geometry.

The structure in POSCAR format:
```
AlS2NO8
1.0
2.504 -4.336 0.000
2.504 4.336 0.000
0.000 0.000 8.363
N O S Al
1 8 2 1
Direct
0.000 0.000 0.500
0.809 0.653 0.865
0.845 0.191 0.865
0.653 0.809 0.135
0.155 0.347 0.135
0.333 0.667 0.370
0.347 0.155 0.865
0.191 0.845 0.135
0.667 0.333 0.630
0.333 0.667 0.197
0.667 0.333 0.803
0.000 0.000 0.000
```

Its formation energy is -1.42 eV/atom. The calculation puts the magnetic moment at 2.0 μB per cell. The final energy is -5.9600 eV/atom. The calculation puts the energy with MP2020 corrections at -6.42 eV/atom. Its crystal system is trigonal. The calculation puts the calculated volume at 181.58 Å³/cell.

***

# 3
## AlS2NO20 (PBE)

Data for crystalline AlS2NO20 at its relaxed geometry.

The structure in POSCAR format:
```
AlS2NO20
1.0
-1.940 -8.773 -7.437
10.921 0.960 -3.982
3.607 -7.625 8.055
O N S Al
80 4 8 4
Direct
0.834 0.488 0.474
0.896 0.033 0.222
0.552 0.783 0.174
0.778 0.104 0.967
0.283 0.326 0.448
0.512 0.526 0.166
0.278 0.396 0.033
0.334 0.488 0.026
0.988 0.026 0.166
0.326 0.448 0.283
0.896 0.467 0.722
0.396 0.033 0.278
0.104 0.967 0.778
0.488 0.474 0.834
0.717 0.826 0.052
0.674 0.552 0.717
0.245 0.755 0.255
0.512 0.974 0.666
0.166 0.988 0.026
0.674 0.948 0.217
0.974 0.834 0.012
0.026 0.334 0.488
0.283 0.174 0.948
0.948 0.217 0.674
0.026 0.166 0.988
0.174 0.948 0.283
0.448 0.283 0.326
0.488 0.026 0.334
0.474 0.834 0.488
0.745 0.755 0.245
0.778 0.396 0.467
0.552 0.717 0.674
0.722 0.896 0.467
0.666 0.988 0.474
0.166 0.512 0.526
0.448 0.217 0.826
0.755 0.245 0.745
0.533 0.278 0.104
0.222 0.604 0.533
0.255 0.255 0.255
0.745 0.745 0.745
0.533 0.222 0.604
0.396 0.467 0.778
0.467 0.778 0.396
0.526 0.166 0.512
0.033 0.222 0.896
0.245 0.745 0.755
0.826 0.448 0.217
0.604 0.533 0.222
0.104 0.533 0.278
0.474 0.666 0.988
0.217 0.674 0.948
0.334 0.012 0.526
0.052 0.783 0.326
0.604 0.967 0.722
0.717 0.674 0.552
0.967 0.722 0.604
0.755 0.255 0.245
0.012 0.974 0.834
0.012 0.526 0.334
0.783 0.174 0.552
0.967 0.778 0.104
0.666 0.512 0.974
0.834 0.012 0.974
0.783 0.326 0.052
0.052 0.717 0.826
0.526 0.334 0.012
0.826 0.052 0.717
0.217 0.826 0.448
0.033 0.278 0.396
0.948 0.283 0.174
0.467 0.722 0.896
0.255 0.245 0.755
0.722 0.604 0.967
0.222 0.896 0.033
0.974 0.666 0.512
0.326 0.052 0.783
0.988 0.474 0.666
0.278 0.104 0.533
0.174 0.552 0.783
0.500 0.500 0.500
0.000 0.000 0.500
0.000 0.500 0.000
0.500 0.000 0.000
0.171 0.829 0.329
0.671 0.829 0.171
0.829 0.329 0.171
0.829 0.171 0.671
0.329 0.329 0.329
0.329 0.171 0.829
0.171 0.671 0.829
0.671 0.671 0.671
0.000 0.000 0.000
0.500 0.000 0.500
0.000 0.500 0.500
0.500 0.500 0.000
```

Its formation energy is -0.28 eV/atom. The calculation puts the magnetic moment at 46.5 μB per cell. The final energy is -5.1141 eV/atom. The calculation puts the energy with MP2020 corrections at -5.25 eV/atom. Its crystal system is cubic. The calculation puts the calculated volume at 1586.70 Å³/cell. For the polymorph energy (0 for the lowest one), the calculation gives 10.2 meV/atom.

***

# 4
## AlS2NO20 (PBE)

Data for crystalline AlS2NO20 at its relaxed geometry.

The structure in POSCAR format:
```
AlS2NO20
1.0
-0.640 -6.854 9.195
6.399 -7.856 -5.411
9.517 4.821 4.256
O Al S N
80 4 8 4
Direct
0.590 0.697 0.762
0.584 0.258 0.987
0.258 0.987 0.584
0.303 0.262 0.910
0.487 0.916 0.742
0.416 0.758 0.513
0.090 0.803 0.238
0.242 0.013 0.084
0.410 0.197 0.738
0.781 0.781 0.781
0.719 0.281 0.781
0.590 0.803 0.262
0.481 0.491 0.832
0.910 0.303 0.262
0.738 0.090 0.697
0.084 0.242 0.013
0.013 0.416 0.742
0.410 0.303 0.238
0.513 0.416 0.758
0.803 0.262 0.590
0.009 0.168 0.981
0.197 0.738 0.410
0.987 0.916 0.758
0.487 0.584 0.242
0.584 0.242 0.487
0.742 0.013 0.416
0.262 0.910 0.303
0.090 0.697 0.738
0.762 0.590 0.697
0.013 0.084 0.242
0.197 0.762 0.910
0.781 0.719 0.281
0.491 0.668 0.981
0.481 0.009 0.332
0.758 0.987 0.916
0.519 0.991 0.668
0.219 0.281 0.719
0.762 0.910 0.197
0.758 0.513 0.416
0.019 0.991 0.832
0.238 0.410 0.303
0.981 0.009 0.168
0.258 0.513 0.084
0.281 0.781 0.719
0.019 0.509 0.332
0.009 0.332 0.481
0.281 0.719 0.219
0.084 0.258 0.513
0.491 0.832 0.481
0.168 0.981 0.009
0.916 0.742 0.487
0.738 0.410 0.197
0.668 0.981 0.491
0.262 0.590 0.803
0.832 0.481 0.491
0.168 0.519 0.509
0.509 0.332 0.019
0.981 0.491 0.668
0.519 0.509 0.168
0.238 0.090 0.803
0.697 0.738 0.090
0.991 0.832 0.019
0.742 0.487 0.916
0.332 0.481 0.009
0.332 0.019 0.509
0.803 0.238 0.090
0.668 0.519 0.991
0.910 0.197 0.762
0.987 0.584 0.258
0.991 0.668 0.519
0.832 0.019 0.991
0.916 0.758 0.987
0.513 0.084 0.258
0.219 0.219 0.219
0.509 0.168 0.519
0.303 0.238 0.410
0.416 0.742 0.013
0.242 0.487 0.584
0.697 0.762 0.590
0.719 0.219 0.281
0.000 0.000 0.000
0.000 0.500 0.500
0.500 0.000 0.500
0.500 0.500 0.000
0.206 0.794 0.294
0.794 0.294 0.206
0.294 0.294 0.294
0.706 0.706 0.706
0.794 0.206 0.706
0.294 0.206 0.794
0.206 0.706 0.794
0.706 0.794 0.206
0.000 0.000 0.500
0.500 0.000 0.000
0.000 0.500 0.000
0.500 0.500 0.500
```

Its formation energy is -0.29 eV/atom. The calculation puts the magnetic moment at 64.0 μB per cell. The final energy is -5.1243 eV/atom. The calculation puts the energy with MP2020 corrections at -5.26 eV/atom. Its crystal system is cubic. The calculation puts the calculated volume at 1515.50 Å³/cell. For the polymorph energy (0 for the lowest one), the calculation gives 0.0 meV/atom.